# 1
The following is a PBE calculation of a relaxed ZrV9Ge6 crystal, from Materials Project.

The structure in extended XYZ format:
```
16
Lattice="-4.863 4.863 2.448 4.863 -4.863 2.448 4.863 4.863 -2.448" Properties=species:S:1:pos:R:3 pbc="T T T"
Zr 0.000 0.000 0.000
V 5.551 -2.174 1.232
V 2.689 -0.689 1.217
V 7.036 0.689 1.217
V 4.174 2.174 1.232
V 0.000 0.000 2.448
V -0.689 2.689 1.217
V 2.174 4.174 1.232
V -2.174 5.551 1.232
V 0.689 7.036 1.217
Ge 4.863 0.000 0.000
Ge 3.185 3.185 -1.151
Ge 1.677 1.677 1.297
Ge 0.000 4.863 0.000
Ge 1.677 -1.677 3.600
Ge -1.677 1.677 3.600
```

Output
- DFT formation energy (kJ/mol of formula units) = -478.8
- symmetry = I-42m, No. 121
- crystal system = tetragonal
- mass density (g/cm³) = 7.1

---

# 2
The following is a PBE calculation of a relaxed ZrVGe crystal, from Materials Project.

The structure in extended XYZ format:
```
6
Lattice="-1.877 1.877 7.292 1.877 -1.877 7.292 1.877 1.877 -7.292" Properties=species:S:1:pos:R:3 pbc="T T T"
Zr 0.000 0.000 2.571
Zr 0.000 0.000 12.012
V 1.877 0.000 0.000
V 0.000 1.877 0.000
Ge 0.000 0.000 5.443
Ge 0.000 0.000 9.140
```

Output
- DFT formation energy (kJ/mol of formula units) = -191.8
- symmetry = I4/mmm, No. 139
- crystal system = tetragonal
- mass density (g/cm³) = 6.9

---

# 3
The following is a PBE calculation of a relaxed Ge2W crystal, from Materials Project.

The structure in extended XYZ format:
```
3
Lattice="-1.671 1.671 4.146 1.671 -1.671 4.146 1.671 1.671 -4.146" Properties=species:S:1:pos:R:3 pbc="T T T"
Ge 0.000 0.000 1.349
Ge 0.000 0.000 6.944
W 0.000 0.000 4.146
```

Output
- DFT formation energy (kJ/mol of formula units) = 18.9
- symmetry = I4/mmm, No. 139
- crystal system = tetragonal
- mass density (g/cm³) = 11.8

---

# 4
The following is a PBE calculation of a relaxed Ge2W crystal, from Materials Project.

The structure in extended XYZ format:
```
12
Lattice="6.434 0.000 0.000 0.000 3.493 0.000 0.000 0.000 8.622" Properties=species:S:1:pos:R:3 pbc="T T T"
Ge 0.401 0.873 1.138
Ge 0.865 0.873 4.660
Ge 2.352 2.620 0.349
Ge 2.816 2.620 5.449
Ge 3.618 0.873 3.173
Ge 4.082 0.873 8.273
Ge 5.569 2.620 3.962
Ge 6.034 2.620 7.484
W 1.604 0.873 7.147
W 1.613 2.620 2.836
W 4.822 0.873 5.787
W 4.830 2.620 1.476
```

Output
- DFT formation energy (kJ/mol of formula units) = 10.3
- symmetry = Pnma, No. 62
- crystal system = orthorhombic
- mass density (g/cm³) = 11.3

---

- Among the records above, which one has the highest mass density?
  number 3

---

- Which value of mass density does entry 4 give?
  11.3 g/cm³